# GGA+U Mo2H18C6NClO7, relaxed
# crystal system: monoclinic
# energy: -0.204 Ha/atom
data_Mo2H18C6NClO7
_chemical_formula_sum 'Mo8 H72 C24 N4 Cl4 O28'
_space_group_name_H-M_alt 'P 1 21/c 1'
_space_group_IT_number 14
_space_group_name_Hall '-P 2ybc'
_cell_length_a 9.124
_cell_length_b 11.482
_cell_length_c 15.881
_cell_angle_alpha 90.00
_cell_angle_beta 98.34
_cell_angle_gamma 90.00
loop_
_atom_site_label
_atom_site_fract_x
_atom_site_fract_y
_atom_site_fract_z
Mo1 0.073 0.008 0.119
Mo2 0.149 0.213 0.955
H1 0.016 0.147 0.597
H2 0.081 0.748 0.844
H3 0.112 0.222 0.688
H4 0.164 0.604 0.118
H5 0.238 0.647 0.482
H6 0.253 0.007 0.565
H7 0.269 0.511 0.253
H8 0.283 0.644 0.043
H9 0.306 0.723 0.227
H10 0.308 0.535 0.419
H11 0.362 0.537 0.532
H12 0.370 0.092 0.699
H13 0.372 0.060 0.324
H14 0.424 0.734 0.652
H15 0.452 0.119 0.425
H16 0.468 0.000 0.779
H17 0.477 0.533 0.902
H18 0.497 0.204 0.249
C1 0.025 0.229 0.633
C2 0.264 0.581 0.092
C3 0.271 0.555 0.480
C4 0.374 0.006 0.728
C5 0.408 0.703 0.201
C6 0.466 0.055 0.375
N1 0.395 0.583 0.162
Cl1 0.380 0.226 0.056
O1 0.044 0.657 0.598
O2 0.047 0.537 0.308
O3 0.057 0.179 0.077
O4 0.110 0.139 0.456
O5 0.145 0.017 0.990
O6 0.248 0.005 0.178
O7 0.248 0.192 0.871

=====

# GGA+U V6AgO15, relaxed
# energy relative to the lowest polymorph listed for this composition: 2.0 meV/atom
# crystal system: monoclinic
# energy: -0.265 Ha/atom
data_V6AgO15
_chemical_formula_sum 'V12 Ag2 O30'
_space_group_name_H-M_alt 'C 1 m 1'
_space_group_IT_number 8
_space_group_name_Hall 'C -2y'
_cell_length_a 15.711
_cell_length_b 3.664
_cell_length_c 10.239
_cell_angle_alpha 90.00
_cell_angle_beta 109.70
_cell_angle_gamma 90.00
loop_
_atom_site_label
_atom_site_fract_x
_atom_site_fract_y
_atom_site_fract_z
V1 0.000 0.000 0.000
V2 0.046 0.500 0.781
V3 0.278 0.500 0.013
V4 0.327 0.000 0.799
V5 0.376 0.000 0.489
V6 0.450 0.500 0.307
Ag1 0.167 0.500 0.497
O1 0.030 0.000 0.825
O2 0.057 0.500 0.626
O3 0.061 0.000 0.373
O4 0.099 0.000 0.115
O5 0.164 0.500 0.899
O6 0.226 0.000 0.675
O7 0.266 0.000 0.429
O8 0.273 0.500 0.169
O9 0.297 0.000 0.974
O10 0.350 0.500 0.845
O11 0.401 0.000 0.674
O12 0.405 0.500 0.469
O13 0.423 0.000 0.326
O14 0.428 0.500 0.120
O15 0.478 0.000 0.951

=====

# GGA+U MgV3CoSn2P6O24, relaxed
# energy relative to the lowest polymorph listed for this composition: 74.0 meV/atom
# crystal system: triclinic
# energy: -0.261 Ha/atom
data_MgV3CoSn2P6O24
_chemical_formula_sum 'Mg1 V3 Co1 Sn2 P6 O24'
_space_group_name_H-M_alt 'P 1'
_space_group_IT_number 1
_space_group_name_Hall 'P 1'
_cell_length_a 8.371
_cell_length_b 8.382
_cell_length_c 9.726
_cell_angle_alpha 90.26
_cell_angle_beta 114.99
_cell_angle_gamma 119.93
loop_
_atom_site_label
_atom_site_fract_x
_atom_site_fract_y
_atom_site_fract_z
Mg1 0.000 0.000 0.000
V1 0.422 0.698 0.118
V2 0.446 0.210 0.668
V3 0.797 0.887 0.688
Co1 0.794 0.380 0.179
Sn1 0.049 0.516 0.563
Sn2 0.216 0.098 0.311
P1 0.333 0.012 0.927
P2 0.337 0.795 0.413
P3 0.617 0.518 0.415
P4 0.622 0.588 0.924
P5 0.896 0.078 0.415
P6 0.916 0.308 0.921
O1 0.097 0.938 0.869
O2 0.108 0.637 0.374
O3 0.119 0.100 0.475
O4 0.130 0.499 0.977
O5 0.356 0.022 0.775
O6 0.360 0.796 0.265
O7 0.376 0.997 0.469
O8 0.379 0.864 0.993
O9 0.452 0.412 0.780
O10 0.462 0.532 0.267
O11 0.474 0.202 0.055
O12 0.476 0.356 0.475
O13 0.489 0.773 0.556
O14 0.503 0.621 0.999
O15 0.721 0.768 0.864
O16 0.737 0.911 0.267
O17 0.740 0.452 0.377
O18 0.746 0.317 0.779
O19 0.780 0.693 0.560
O20 0.800 0.580 0.053
O21 0.858 0.063 0.556
O22 0.873 0.260 0.058
O23 0.925 0.141 0.856
O24 0.927 0.269 0.378

=====

# GGA+U CoHO2, relaxed
# crystal system: monoclinic
# energy: -0.201 Ha/atom
data_CoHO2
_chemical_formula_sum 'Co4 H4 O8'
_space_group_name_H-M_alt 'C 1 2/m 1'
_space_group_IT_number 12
_space_group_name_Hall '-C 2y'
_cell_length_a 5.374
_cell_length_b 2.904
_cell_length_c 8.904
_cell_angle_alpha 90.00
_cell_angle_beta 92.17
_cell_angle_gamma 90.00
loop_
_atom_site_label
_atom_site_fract_x
_atom_site_fract_y
_atom_site_fract_z
Co1 0.000 0.000 0.000
Co2 0.000 0.000 0.500
H1 0.151 0.500 0.251
O1 0.152 0.500 0.111
O2 0.160 0.500 0.383

=====

# GGA+U Mn3In2Sb3O14, relaxed
# energy relative to the lowest polymorph listed for this composition: 8.1 meV/atom
# crystal system: triclinic
# energy: -0.239 Ha/atom
data_Mn3In2Sb3O14
_chemical_formula_sum 'Mn6 In4 Sb6 O28'
_space_group_name_H-M_alt 'P -1'
_space_group_IT_number 2
_space_group_name_Hall '-P 1'
_cell_length_a 7.138
_cell_length_b 7.141
_cell_length_c 12.688
_cell_angle_alpha 106.10
_cell_angle_beta 90.57
_cell_angle_gamma 119.26
loop_
_atom_site_label
_atom_site_fract_x
_atom_site_fract_y
_atom_site_fract_z
Mn1 0.000 0.000 0.000
Mn2 0.000 0.500 0.500
Mn3 0.250 0.000 0.250
Mn4 0.500 0.000 0.500
Mn5 0.500 0.500 0.000
In1 0.248 0.497 0.245
In2 0.252 0.003 0.754
Sb1 0.000 0.000 0.500
Sb2 0.000 0.500 0.000
Sb3 0.251 0.502 0.753
Sb4 0.500 0.000 0.000
Sb5 0.500 0.500 0.500
O1 0.002 0.403 0.837
O2 0.063 0.126 0.189
O3 0.084 0.595 0.679
O4 0.087 0.171 0.664
O5 0.118 0.827 0.541
O6 0.201 0.829 0.030
O7 0.217 0.429 0.046
O8 0.287 0.579 0.460
O9 0.293 0.166 0.459
O10 0.382 0.171 0.954
O11 0.417 0.419 0.836
O12 0.434 0.834 0.836
O13 0.440 0.867 0.308
O14 0.495 0.577 0.665

=====

# GGA+U Li9Mn2Co5O16, relaxed
# energy relative to the lowest polymorph listed for this composition: 9.9 meV/atom
# crystal system: monoclinic
# energy: -0.215 Ha/atom
data_Li9Mn2Co5O16
_chemical_formula_sum 'Li18 Mn4 Co10 O32'
_space_group_name_H-M_alt 'C 1 2/m 1'
_space_group_IT_number 12
_space_group_name_Hall '-C 2y'
_cell_length_a 19.393
_cell_length_b 2.914
_cell_length_c 10.128
_cell_angle_alpha 90.00
_cell_angle_beta 95.16
_cell_angle_gamma 90.00
loop_
_atom_site_label
_atom_site_fract_x
_atom_site_fract_y
_atom_site_fract_z
Li1 0.000 0.000 0.000
Li2 0.121 0.500 0.945
Li3 0.122 0.000 0.182
Li4 0.125 0.000 0.688
Li5 0.126 0.500 0.440
Mn1 0.001 0.500 0.246
Co1 0.000 0.000 0.500
Co2 0.250 0.000 0.375
Co3 0.250 0.000 0.875
O1 0.053 0.000 0.346
O2 0.053 0.500 0.589
O3 0.056 0.000 0.830
O4 0.058 0.500 0.112
O5 0.191 0.000 0.535
O6 0.192 0.000 0.035
O7 0.192 0.500 0.786
O8 0.193 0.500 0.287

=====

# GGA+U NaFe9Si6B3H2O31, relaxed
# energy relative to the lowest polymorph listed for this composition: 4.7 meV/atom
# crystal system: monoclinic
# energy: -0.264 Ha/atom
data_NaFe9Si6B3H2O31
_chemical_formula_sum 'Na2 Fe18 Si12 B6 H4 O62'
_space_group_name_H-M_alt 'C 1 m 1'
_space_group_IT_number 8
_space_group_name_Hall 'C -2y'
_cell_length_a 10.771
_cell_length_b 16.370
_cell_length_c 7.608
_cell_angle_alpha 90.00
_cell_angle_beta 118.35
_cell_angle_gamma 90.00
loop_
_atom_site_label
_atom_site_fract_x
_atom_site_fract_y
_atom_site_fract_z
Na1 0.000 0.000 0.000
Fe1 0.057 0.280 0.659
Fe2 0.059 0.393 0.333
Fe3 0.094 0.088 0.651
Fe4 0.314 0.500 0.471
Fe5 0.398 0.167 0.889
Si1 0.006 0.189 0.238
Si2 0.222 0.407 0.049
Si3 0.285 0.095 0.425
B1 0.330 0.000 0.999
B2 0.339 0.336 0.672
H1 0.189 0.185 0.972
O1 0.004 0.282 0.161
O2 0.016 0.190 0.459
O3 0.083 0.359 0.882
O4 0.119 0.500 0.456
O5 0.140 0.137 0.243
O6 0.186 0.000 0.874
O7 0.194 0.334 0.591
O8 0.196 0.193 0.850
O9 0.217 0.409 0.260
O10 0.234 0.500 0.975
O11 0.278 0.000 0.351
O12 0.281 0.101 0.636
O13 0.366 0.361 0.074
O14 0.404 0.073 0.062
O15 0.410 0.409 0.685
O16 0.414 0.264 0.738
O17 0.425 0.140 0.443
O18 0.492 0.500 0.452

=====

# GGA+U CrCuO2, relaxed
# crystal system: hexagonal
# energy: -0.252 Ha/atom
data_CrCuO2
_chemical_formula_sum 'Cr2 Cu2 O4'
_space_group_name_H-M_alt 'P 63/m m c'
_space_group_IT_number 194
_space_group_name_Hall '-P 6c 2c'
_cell_length_a 3.0495
_cell_length_b 3.0495
_cell_length_c 11.4614
_cell_angle_alpha 90.00
_cell_angle_beta 90.00
_cell_angle_gamma 120.00
loop_
_atom_site_label
_atom_site_fract_x
_atom_site_fract_y
_atom_site_fract_z
Cr1 0.0000 0.0000 0.0000
Cu1 0.3333 0.6667 0.2500
O1 0.3333 0.6667 0.0880

=====

Formation enthalpy at 0 K readings, ordered: -0.6538; -2.1732; -2.4614; -1.1131; -1.9535; -1.8543; -2.3941; -1.7845 eV/atom
Calculated density readings, ordered: 1.79; 3.91; 3.36; 4.40; 6.12; 4.21; 3.44; 5.31 g/cm3